## w
# CaW2O4

Crystalline CaW2O4 at its relaxed geometry (PBE+U, the Materials Project database).

The structure belongs to space group Fd-3m (No. 227, origin choice 2); the cell edges are 9.3832, 9.3832 and 9.3832 Å and the angles 90.00°, 90.00° and 90.00°. The asymmetric unit holds Ca at (0.1250, 0.1250, 0.1250), W at (0.0000, 0.0000, 0.5000) and O at (0.0159, 0.0159, 0.7341).

## x
# CaW2O4

Crystalline CaW2O4 at its relaxed geometry (PBE+U, the Materials Project database).

The structure belongs to space group Cmcm (No. 63); the cell edges are 3.2594, 10.6595 and 10.5129 Å and the angles 90.00°, 90.00° and 90.00°. The asymmetric unit holds Ca at (0.0000, 0.1152, 0.2500), W at (0.0000, 0.3676, 0.0715), O at (0.0000, 0.0000, 0.0000), O at (0.0000, 0.2633, 0.6104) and O at (0.0000, 0.4659, 0.2500).

Energy above the most stable structure, in kJ/mol of atoms: w 0.0; x 5.6